First-principles (GGA-PBE) data for a relaxed structure of Li3Cu2O4, as listed in Materials Project.

The calculation puts the total energy at -5.026 eV per atom. The formation energy comes out at -152.90 kJ per mole of atoms.

Cell: 5.246 5.246 7.329 Å, 65.06 65.06 30.92°
Fractional positions:
Cu 0.843 0.843 0.265
Cu 0.146 0.146 0.738
O 0.738 0.738 0.819
Li 0.352 0.352 0.879
O 0.549 0.549 0.669
O 0.433 0.433 0.347
Li 0.634 0.634 0.139
O 0.261 0.261 0.171
Li 0.964 0.964 0.534